Entry 1:
A plane-wave DFT calculation with GGA-PBE was carried out for MgHg2Br6O6 after structural relaxation.

Geometry as extended XYZ:
```
30
Lattice="10.0389 -3.4009 0.0000 10.0389 3.4009 0.0000 -9.5206 0.0000 10.1205" Properties=species:S:1:pos:R:3 pbc="T T T"
Mg 2.8984 2.3076 7.5904
Mg 7.6587 -2.3076 2.5301
Hg 6.9559 1.0929 1.0151
Hg 8.3615 1.0929 4.0451
Hg 2.1956 -1.0929 6.0754
Hg 3.6012 -1.0929 9.1054
Br -1.2209 1.1515 5.9606
Br -3.2028 1.1655 8.7074
Br 5.0679 1.5548 4.9683
Br 10.2495 1.5548 0.0920
Br 3.5394 -1.1515 0.9003
Br 1.5575 -1.1655 3.6472
Br 8.9996 1.1655 6.4733
Br 7.0177 1.1515 9.2201
Br 0.3076 -1.5548 10.0285
Br 5.4892 -1.5548 5.1522
Br 13.7599 -1.1655 1.4131
Br 11.7780 -1.1515 4.1599
O 1.5174 2.2014 5.8872
O 1.0650 2.4836 8.7689
O 7.6587 2.5088 2.5301
O 4.7317 2.4836 6.4119
O 4.2794 2.2014 9.2935
O 2.8984 0.3128 7.5904
O 7.6587 -0.3128 2.5301
O 6.2777 -2.2014 0.8270
O 5.8254 -2.4836 3.7086
O 2.8984 -2.5088 7.5904
O 9.4920 -2.4836 1.3516
O 9.0397 -2.2014 4.2333
```

Summary:
Formation energy in kJ/mol of formula units: -678.8
Crystal system: monoclinic
Energy in eV/atom: -2.98
Space-group type: C2/c, No. 15
Total moment in μB/f.u.: 2.0

Entry 2:
A plane-wave DFT calculation with GGA-PBE was carried out for Mg6AlSnO8 after structural relaxation.

Geometry as extended XYZ:
```
16
Lattice="4.3710 0.0000 0.0000 0.0000 4.3710 0.0000 0.0000 0.0000 9.2574" Properties=species:S:1:pos:R:3 pbc="T T T"
Mg 0.0000 0.0000 0.0000
Mg 0.0000 0.0000 4.6287
Mg 0.0000 2.1855 2.2271
Mg 0.0000 2.1855 7.0302
Mg 2.1855 0.0000 2.2271
Mg 2.1855 0.0000 7.0302
Al 2.1855 2.1855 0.0000
Sn 2.1855 2.1855 4.6287
O 0.0000 0.0000 2.2889
O 0.0000 0.0000 6.9685
O 0.0000 2.1855 0.0000
O 0.0000 2.1855 4.6287
O 2.1855 0.0000 0.0000
O 2.1855 0.0000 4.6287
O 2.1855 2.1855 1.7779
O 2.1855 2.1855 7.4795
```

Summary:
Formation energy in kJ/mol of formula units: -3927.0
Crystal system: tetragonal
Energy in eV/atom: -5.76
Space-group type: P4/mmm, No. 123
Total moment in μB/f.u.: 0.0

Entry 3:
A plane-wave DFT calculation with GGA-PBE was carried out for Tb3Ga9Pt2 after structural relaxation.

Geometry as extended XYZ:
```
14
Lattice="-2.1433 4.8046 6.2765 2.1433 -4.8046 6.2765 2.1433 4.8046 -6.2765" Properties=species:S:1:pos:R:3 pbc="T T T"
Tb 0.0000 0.0000 0.0000
Tb 0.0000 0.0000 3.8166
Tb 0.0000 0.0000 8.7364
Ga 2.1433 -1.2664 1.9585
Ga 2.1433 -2.0998 4.5313
Ga 2.1433 1.2664 1.9585
Ga 0.0000 2.7048 1.7453
Ga 0.0000 4.8046 0.0000
Ga 2.1433 2.0998 4.5313
Ga 0.0000 3.5382 4.3180
Ga 0.0000 6.9044 1.7453
Ga 0.0000 6.0710 4.3180
Pt 2.1433 2.9607 0.0000
Pt 0.0000 1.8439 6.2765
```

Summary:
Formation energy in kJ/mol of formula units: -914.2
Crystal system: orthorhombic
Energy in eV/atom: -4.48
Space-group type: Immm, No. 71
Total moment in μB/f.u.: 0.0

Entry 4:
A plane-wave DFT calculation with GGA-PBE was carried out for Cu4WS4Cl4 after structural relaxation.

Geometry as extended XYZ:
```
26
Lattice="-6.7066 6.7066 3.0589 6.7066 -6.7066 3.0589 6.7066 6.7066 -3.0589" Properties=species:S:1:pos:R:3 pbc="T T T"
Cu 4.9177 0.0000 0.0000
Cu 8.4955 0.0000 0.0000
Cu 4.8658 4.8658 0.0000
Cu 1.8408 -1.8408 3.0589
Cu 0.0000 4.9177 0.0000
Cu 0.0000 8.4955 0.0000
Cu -1.8408 1.8408 3.0589
Cu 1.8408 1.8408 3.0589
W 0.0000 0.0000 0.0000
W 0.0000 0.0000 3.0589
S 6.7066 4.6556 -1.5323
S 4.6556 6.7066 -1.5323
S 2.0510 0.0000 1.5267
S 0.0000 2.0510 1.5267
S 6.7066 4.6556 1.5323
S 4.6556 6.7066 1.5323
S 2.0510 0.0000 4.5912
S 0.0000 2.0510 4.5912
Cl 4.9782 -1.7284 1.5295
Cl 8.4350 -1.7284 1.5295
Cl 4.9782 1.7284 1.5295
Cl 8.4350 1.7284 1.5295
Cl -1.7284 4.9782 1.5295
Cl 1.7284 4.9782 1.5295
Cl -1.7284 8.4350 1.5295
Cl 1.7284 8.4350 1.5295
```

Summary:
Formation energy in kJ/mol of formula units: -591.9
Crystal system: tetragonal
Energy in eV/atom: -4.23
Space-group type: I4/mmm, No. 139
Total moment in μB/f.u.: 0.6

Entry 5:
A plane-wave DFT calculation with GGA-PBE was carried out for ZrInAu2 after structural relaxation.

Geometry as extended XYZ:
```
4
Lattice="0.0000 3.4191 3.4191 3.4191 0.0000 3.4191 3.4191 3.4191 0.0000" Properties=species:S:1:pos:R:3 pbc="T T T"
Zr 0.0000 0.0000 0.0000
In 3.4191 3.4191 3.4191
Au 1.7095 1.7095 1.7095
Au 5.1286 5.1286 5.1286
```

Summary:
Formation energy in kJ/mol of formula units: -173.3
Crystal system: cubic
Energy in eV/atom: -4.91
Space-group type: Fm-3m, No. 225

Entry 6:
A plane-wave DFT calculation with GGA-PBE was carried out for ZnGa2S4 after structural relaxation.

Geometry as extended XYZ:
```
14
Lattice="3.7311 0.0000 0.0000 -1.8656 3.2312 0.0000 0.0000 0.0000 24.2087" Properties=species:S:1:pos:R:3 pbc="T T T"
Zn 0.0000 0.0000 0.0000
Zn 0.0000 0.0000 12.1043
Ga 0.0000 2.1542 3.7661
Ga 0.0000 2.1542 19.5893
Ga 1.8656 1.0771 7.4850
Ga 1.8656 1.0771 15.8704
S 0.0000 0.0000 2.5986
S 0.0000 0.0000 8.4370
S 0.0000 0.0000 14.7029
S 0.0000 0.0000 20.5413
S 0.0000 2.1542 17.3126
S 0.0000 2.1542 23.5173
S 1.8656 1.0771 5.2083
S 1.8656 1.0771 11.4129
```

Summary:
Formation energy in kJ/mol of formula units: -593.0
Crystal system: hexagonal
Energy in eV/atom: -4.00
Space-group type: P6_3mc, No. 186
Total moment in μB/f.u.: 0.0

Entry 7:
A plane-wave DFT calculation with GGA-PBE was carried out for U2BiSb2 after structural relaxation.

Geometry as extended XYZ:
```
5
Lattice="2.9218 0.0000 0.0000 0.0000 2.9218 0.0000 0.0000 0.0000 17.5851" Properties=species:S:1:pos:R:3 pbc="T T T"
U 0.0000 0.0000 3.2856
U 0.0000 0.0000 14.2995
Bi 0.0000 0.0000 0.0000
Sb 0.0000 0.0000 6.4843
Sb 0.0000 0.0000 11.1008
```

Summary:
Formation energy in kJ/mol of formula units: 307.9
Crystal system: tetragonal
Energy in eV/atom: -6.23
Space-group type: P4/mmm, No. 123
Total moment in μB/f.u.: 3.9

Entry 8:
A plane-wave DFT calculation with GGA-PBE was carried out for HoRu2 after structural relaxation.

Geometry as extended XYZ:
```
12
Lattice="5.2662 0.0000 0.0000 -2.6331 4.5607 0.0000 0.0000 0.0000 8.9068" Properties=species:S:1:pos:R:3 pbc="T T T"
Ho 0.0000 3.0405 0.5923
Ho 0.0000 3.0405 3.8611
Ho 2.6331 1.5202 5.0457
Ho 2.6331 1.5202 8.3145
Ru 0.0000 0.0000 0.0000
Ru 0.0000 0.0000 4.4534
Ru 0.0000 1.5628 6.6801
Ru -1.2797 3.7793 6.6801
Ru 1.3534 0.7814 2.2267
Ru 1.2797 3.7793 6.6801
Ru 3.9128 0.7814 2.2267
Ru 2.6331 2.9979 2.2267
```

Summary:
Formation energy in kJ/mol of formula units: -99.8
Crystal system: hexagonal
Energy in eV/atom: -8.06
Space-group type: P6_3/mmc, No. 194
Total moment in μB/f.u.: 0.0

Entry 9:
A plane-wave DFT calculation with GGA-PBE was carried out for U3Al2Si3 after structural relaxation.

Geometry as extended XYZ:
```
16
Lattice="-3.7862 3.7862 5.4634 3.7862 -3.7862 5.4634 3.7862 3.7862 -5.4634" Properties=species:S:1:pos:R:3 pbc="T T T"
U 0.0000 0.0000 0.0000
U 2.6225 -1.1637 2.3356
U 4.9499 1.1637 2.3356
U 0.0000 0.0000 5.4634
U 1.1637 2.6225 2.3356
U -1.1637 4.9499 2.3356
Al 4.8496 1.0634 -1.0030
Al 1.0634 2.7227 -1.0030
Al 2.7227 1.0634 4.4604
Al -1.0634 2.7227 4.4604
Si 2.6510 1.1351 0.3341
Si 0.0000 0.0000 2.7492
Si 2.6510 -1.1351 5.7975
Si 1.1351 4.9213 0.3341
Si 0.0000 0.0000 8.2126
Si 1.1351 2.6510 5.7975
```

Summary:
Formation energy in kJ/mol of formula units: -150.7
Crystal system: tetragonal
Energy in eV/atom: -7.43
Space-group type: I4cm, No. 108
Total moment in μB/f.u.: 6.7

Entry 10:
A plane-wave DFT calculation with GGA-PBE was carried out for YMg6Cu after structural relaxation.

Geometry as extended XYZ:
```
16
Lattice="4.9547 0.0000 0.0000 0.0000 6.0587 0.0000 0.0000 0.0000 12.0478" Properties=species:S:1:pos:R:3 pbc="T T T"
Mg 0.0000 1.5409 0.9609
Mg 0.0000 3.0294 3.6505
Mg 0.0000 3.0294 10.1953
Mg 2.4773 4.5487 5.2363
Y 2.4773 3.0294 8.2946
Y 2.4773 0.0000 2.2707
Cu 2.4773 0.0000 7.6325
Mg 2.4773 4.5394 11.2602
Mg 0.0000 4.5703 6.9848
Mg 2.4773 1.5194 11.2602
Mg 0.0000 0.0000 9.6744
Cu 2.4773 3.0294 1.6086
Mg 2.4773 1.5100 5.2363
Mg 0.0000 1.4885 6.9848
Mg 0.0000 0.0000 4.1714
Mg 0.0000 4.5179 0.9609
```

Summary:
Formation energy in kJ/mol of formula units: 8.7
Energy in eV/atom: -2.51
Total moment in μB/f.u.: 0.0

Entry 11:
A plane-wave DFT calculation with GGA-PBE was carried out for As2S2O9 after structural relaxation.

Geometry as extended XYZ:
```
52
Lattice="6.8513 0.0000 0.0000 0.0000 6.7626 0.0000 -1.9139 0.0000 17.4852" Properties=species:S:1:pos:R:3 pbc="T T T"
As 0.8763 0.7805 3.5636
As -0.0807 2.6008 12.3062
As 1.0042 1.6093 9.4384
As 1.9611 1.7720 0.6958
As 2.9763 4.9906 16.7894
As 3.9332 5.1533 8.0468
As 5.0181 4.1618 5.1790
As 4.0612 5.9821 13.9216
S 0.1980 4.8708 7.5369
S -0.7590 5.2731 16.2795
S 1.5769 3.8684 3.0860
S 0.6200 6.2755 11.8286
S 4.3175 0.4871 5.6566
S 3.3605 2.8942 14.3992
S 5.6964 1.4895 1.2057
S 4.7395 1.8918 9.9483
O 0.1255 1.5552 0.3057
O -0.8315 1.8261 9.0483
O -0.2315 4.1404 6.2390
O -1.1884 6.0035 14.9816
O 0.6712 5.0006 3.1258
O -0.2857 5.1433 11.8684
O -0.1396 0.6826 12.5123
O 0.8174 2.6987 3.7697
O -0.2901 3.9415 15.9877
O 0.6668 6.2024 7.2451
O 1.7509 3.4671 1.5926
O 0.7940 6.6767 10.3352
O 1.1361 3.9982 8.2187
O 0.1792 6.1457 16.9613
O 2.0215 0.7629 2.1800
O 1.0646 2.6184 10.9226
O 2.8764 4.0492 3.6838
O 1.9195 6.0947 12.4264
O 3.0180 0.6679 5.0588
O 2.0610 2.7134 13.8014
O 3.8729 4.1442 6.5626
O 2.9159 5.9997 15.3052
O 4.7582 0.6169 0.5239
O 3.8013 2.7644 9.2665
O 4.1434 0.0858 7.1500
O 3.1865 3.2954 15.8926
O 4.2706 0.5602 10.2400
O 5.2276 2.8211 1.4974
O 4.1201 4.0639 13.7155
O 5.0770 6.0800 4.9729
O 5.2231 1.6193 5.6168
O 4.2662 1.7620 14.3593
O 6.1258 0.7591 2.5036
O 5.1689 2.6222 11.2462
O 5.7689 4.9364 8.4369
O 4.8120 5.2074 17.1794
```

Summary:
Formation energy in kJ/mol of formula units: -2109.0
Crystal system: monoclinic
Energy in eV/atom: -5.98
Space-group type: P2_1/c, No. 14

Entry 12:
A plane-wave DFT calculation with GGA-PBE was carried out for Na7Sc4SiP5O24 after structural relaxation.

Geometry as extended XYZ:
```
123
Lattice="9.0770 0.0000 0.0000 -4.5323 7.8662 0.0000 -0.0183 -0.0271 22.7093" Properties=species:S:1:pos:R:3 pbc="T T T"
Na 0.0000 0.0000 0.0000
Na -1.6744 2.8967 5.7138
Na -3.2993 5.7340 11.4000
Na -1.5859 2.8801 17.0761
Na 0.0333 0.4594 15.1495
Na -2.8166 5.4887 3.8205
Na -0.4303 5.4802 15.1651
Na 1.2364 2.6539 3.8322
Na 0.0441 5.2396 7.5749
Na 2.9517 0.2151 13.2569
Na 2.9567 0.2371 1.9189
Na 1.6823 2.8627 11.3719
Na 0.0586 5.7758 0.0449
Na 4.1601 2.8585 0.0404
Na 2.8562 5.4450 20.8259
Na 5.7810 0.4812 3.7736
Na 2.9108 5.4871 9.4882
Na 4.5746 2.6352 15.1771
Na 6.2208 0.2361 18.9742
Na 5.7751 5.2218 18.9231
Na 8.6715 0.2455 7.6068
Sc -1.6660 2.8746 13.6508
Sc -1.6347 2.8709 2.2981
Sc -1.5949 2.8131 20.4472
Sc 2.8700 0.2186 16.6752
Sc 2.9462 0.2345 5.3292
Sc 2.9300 0.2476 21.2196
Sc 2.9673 0.2515 9.8794
Sc 2.9013 5.4274 6.1027
Sc 2.8634 5.5386 1.5353
Sc 2.9146 5.4204 17.4472
Sc 2.9184 5.5448 12.8762
Sc 7.3869 2.8563 9.0958
Si 0.2283 5.4892 3.8249
Si 6.1172 0.5593 0.0194
Si 5.5808 5.4798 15.1647
P -0.3091 0.5502 11.3655
P -2.9534 5.1814 0.0093
P 0.2264 0.2432 18.9483
P -2.9642 5.8012 7.6098
P 1.0390 2.8719 0.0325
P -0.2920 5.1727 11.3662
P -0.2969 5.7752 18.9482
P 1.5853 2.5580 7.6112
P 1.5791 3.1812 15.1397
P 4.2260 2.5545 18.9489
P 5.5842 0.2563 7.5858
P 4.2393 3.1961 3.7992
P 1.5823 7.7801 15.1860
P 4.7714 2.8516 11.3913
P 4.2494 7.7973 3.8293
O -0.6966 1.4757 19.0528
O -2.2632 4.4235 7.7451
O -0.5359 1.4309 12.6246
O -2.2932 4.5586 1.2683
O 1.1112 -0.0011 20.1982
O -2.7071 6.6936 8.8535
O 1.2471 0.0996 3.9626
O 1.1069 0.4258 17.6906
O -2.5452 6.8211 15.2952
O -2.3099 6.4539 6.3507
O -2.3432 6.5724 22.5863
O 1.2492 0.4182 11.2437
O -0.9999 4.4102 19.0830
O 0.0274 2.6892 7.7326
O -0.7153 4.1523 3.6938
O -0.9455 4.5207 12.6242
O 0.1839 2.6258 1.3014
O 0.0382 3.0031 15.0092
O 0.1102 3.1154 21.5369
O -0.5480 4.2809 10.1220
O 1.8115 1.6762 6.3504
O -0.9405 6.4442 17.6986
O -0.9924 6.5509 11.2307
O 1.8952 1.5682 22.5872
O -0.7124 6.8393 3.9456
O 2.1805 1.8779 8.8621
O 2.2378 1.7819 15.3068
O -0.5505 6.6679 20.1997
O 1.7940 4.0985 16.3597
O 1.1761 5.2266 5.1282
O 1.2395 5.2580 11.5118
O 1.9638 4.1109 0.1598
O 2.2179 3.8051 13.8810
O 2.1834 3.9762 7.4983
O 1.1598 5.7652 2.5037
O 1.2395 5.7010 18.8148
O 3.5779 1.7943 3.9555
O 4.5750 0.0922 15.3178
O 4.6527 0.0028 8.7878
O 4.4612 0.3793 22.6008
O 3.6278 1.8828 20.2092
O 3.8367 1.6282 11.2439
O 3.9947 1.6665 17.7021
O 4.7294 0.4613 6.3081
O 1.7985 6.8630 13.9704
O 3.6100 3.8122 2.5257
O 1.9436 6.8476 7.4730
O 3.6215 3.9725 18.8453
O 3.8800 4.1284 11.5031
O 2.2883 6.9399 0.1233
O 2.2193 7.1552 16.4491
O 4.0074 4.1106 5.0072
O 5.6248 2.6471 12.6685
O 6.3435 1.4955 1.3417
O 5.7785 2.6895 19.0695
O 6.5177 1.4797 7.7326
O 5.7017 3.1043 10.1883
O 6.7961 1.2213 21.4205
O 5.7807 3.0360 3.6889
O 6.7781 1.3119 15.0230
O 4.5868 5.3072 0.1564
O 4.6434 5.2068 16.4781
O 3.6376 6.9961 11.4794
O 3.6076 7.1477 5.0668
O 3.8785 6.8311 18.8292
O 4.5830 5.7176 7.4638
O 4.6449 5.7533 13.8522
O 4.0470 6.9161 2.5677
O 6.3533 4.2774 21.4760
O 8.1734 1.2286 10.1134
O 8.1300 1.3331 3.6856
O 6.5326 4.1389 15.0341
```

Summary:
Formation energy in kJ/mol of formula units: -12064.5
Crystal system: triclinic
Energy in eV/atom: -7.18
Space-group type: P1, No. 1
Total moment in μB/f.u.: 0.0

Entry 13:
A plane-wave DFT calculation with GGA-PBE was carried out for K2LiMoBr6 after structural relaxation.

Geometry as extended XYZ:
```
10
Lattice="0.0000 5.3512 5.3512 5.3512 0.0000 5.3512 5.3512 5.3512 0.0000" Properties=species:S:1:pos:R:3 pbc="T T T"
K 2.6756 2.6756 2.6756
K 8.0269 8.0269 8.0269
Li 0.0000 0.0000 0.0000
Mo 5.3512 5.3512 5.3512
Br 5.3512 5.3512 2.7401
Br 5.3512 2.7401 5.3512
Br 7.9624 5.3512 5.3512
Br 2.7401 5.3512 5.3512
Br 5.3512 7.9624 5.3512
Br 5.3512 5.3512 7.9624
```

Summary:
Formation energy in kJ/mol of formula units: -1461.2
Crystal system: cubic
Energy in eV/atom: -3.67
Space-group type: Fm-3m, No. 225
Total moment in μB/f.u.: 3.0